[1]
ZrAg2 | meta-GGA r2SCAN | optimized geometry

Results
The total energy comes out at -21.866 eV per atom. The space group is I4/mmm, No. 139. For the formation energy, the calculation gives -0.05 eV per atom.

a b c (Å): 3.5433 3.5433 5.1548
angles (deg): 110.10 110.10 90.00
Fractional positions:
Zr (0.0000, 0.0000, 0.0000)
Ag (0.3275, 0.3275, 0.6550)
Ag (0.6725, 0.6725, 0.3450)

---

[2]
Ca3Al2As4 | meta-GGA r2SCAN | optimized geometry

Results
The total energy comes out at -11.523 eV per atom. The space group is C2/c, No. 15. For the formation energy, the calculation gives -1.14 eV per atom.

a b c (Å): 8.2392 8.2392 6.6353
angles (deg): 89.36 89.36 75.73
Fractional positions:
Ca (0.7508, 0.0064, 0.4730)
Ca (0.5993, 0.4007, 0.7500)
Ca (0.0064, 0.7508, 0.9730)
Ca (0.4007, 0.5993, 0.2500)
Ca (0.9936, 0.2492, 0.0270)
Ca (0.2492, 0.9936, 0.5270)
As (0.2574, 0.4329, 0.9380)
As (0.7176, 0.0588, 0.9760)
As (0.4329, 0.2574, 0.4380)
As (0.5671, 0.7426, 0.5620)
As (0.2824, 0.9412, 0.0240)
As (0.9412, 0.2824, 0.5240)
As (0.7426, 0.5671, 0.0620)
As (0.0588, 0.7176, 0.4760)
Al (0.5796, 0.8281, 0.9110)
Al (0.4204, 0.1719, 0.0890)
Al (0.8281, 0.5796, 0.4110)
Al (0.1719, 0.4204, 0.5890)

---

[3]
Eu3Al2As4 | meta-GGA r2SCAN | optimized geometry

Results
The total energy comes out at -22.035 eV per atom. The space group is C2/c, No. 15. For the formation energy, the calculation gives -1.16 eV per atom.

a b c (Å): 8.4419 8.4419 6.7299
angles (deg): 89.79 89.79 75.58
Fractional positions:
Eu (0.5985, 0.4015, 0.2500)
Eu (0.0068, 0.7508, 0.4667)
Eu (0.9932, 0.2492, 0.5333)
Eu (0.4015, 0.5985, 0.7500)
Eu (0.2492, 0.9932, 0.0333)
Eu (0.7508, 0.0068, 0.9667)
Al (0.1712, 0.4194, 0.0845)
Al (0.4193, 0.1712, 0.5845)
Al (0.5807, 0.8288, 0.4155)
Al (0.8288, 0.5806, 0.9155)
As (0.5727, 0.7421, 0.0685)
As (0.7117, 0.0597, 0.4742)
As (0.2883, 0.9403, 0.5258)
As (0.7421, 0.5727, 0.5685)
As (0.2579, 0.4273, 0.4315)
As (0.4273, 0.2579, 0.9315)
As (0.0596, 0.7117, 0.9742)
As (0.9404, 0.2883, 0.0258)

---

[4]
AlGaAs2 | meta-GGA r2SCAN | optimized geometry

Results
The total energy comes out at -12.435 eV per atom. The space group is R3m, No. 160. For the formation energy, the calculation gives -0.54 eV per atom.

a b c (Å): 6.9435 6.9435 6.9435
angles (deg): 33.58 33.58 33.58
Fractional positions:
As (0.6253, 0.6253, 0.6253)
As (0.1248, 0.1248, 0.1248)
Al (0.9998, 0.9998, 0.9998)
Ga (0.5001, 0.5001, 0.5001)